! TaNi PBE-GGA relaxed; values from VASP
&SYSTEM
  ibrav = 0, nat = 26, ntyp = 2
/
ATOMIC_SPECIES
Ta 180.95 Ta.upf
Ni 58.69 Ni.upf
ATOMIC_POSITIONS angstrom
Ta 22.081 0.000 1.757
Ta 11.977 0.000 0.953
Ta 35.683 0.000 2.839
Ta 41.083 0.000 3.268
Ta 17.377 0.000 1.382
Ta 9.162 0.000 0.729
Ta 26.530 0.000 2.110
Ta 38.480 0.000 3.061
Ta 48.666 0.000 3.871
Ta 4.394 0.000 0.350
Ta 43.898 0.000 3.492
Ta 30.979 0.000 2.464
Ta 14.580 0.000 1.160
Ni 24.514 -1.244 1.230
Ni 19.758 -1.221 0.864
Ni 24.514 1.244 1.230
Ni 33.469 0.000 1.248
Ni 19.591 0.000 2.973
Ni 19.758 1.221 0.864
Ni 28.717 0.000 0.844
Ni 28.546 1.244 2.991
Ni 0.000 0.000 0.000
Ni 33.302 -1.221 3.356
Ni 24.343 0.000 3.377
Ni 33.302 1.221 3.356
Ni 28.546 -1.244 2.991
CELL_PARAMETERS angstrom
17.799 -2.445 0.000
17.799 2.445 0.000
17.463 0.000 4.221
! * SG: No. 166
! * E_form: -258 meV/atom
! * total DFT energy (no corrections): -9.08 eV/atom
! * size of the total moment: 0.04 μB/f.u.
! * calculated density: 14.1 g/cm3


! Na2YCuBr6 PBE-GGA relaxed; values from VASP
&SYSTEM
  ibrav = 0, nat = 10, ntyp = 4
/
ATOMIC_SPECIES
Br 79.90 Br.upf
Na 22.99 Na.upf
Y 88.91 Y.upf
Cu 63.55 Cu.upf
ATOMIC_POSITIONS angstrom
Br 5.427 5.427 8.076
Br 2.779 5.427 5.427
Br 8.076 5.427 5.427
Br 5.427 8.076 5.427
Br 5.427 2.779 5.427
Br 5.427 5.427 2.779
Na 2.714 2.714 2.714
Na 8.141 8.141 8.141
Y 0.000 0.000 0.000
Cu 5.427 5.427 5.427
CELL_PARAMETERS angstrom
0.000 5.427 5.427
5.427 0.000 5.427
5.427 5.427 0.000
! * SG: No. 225
! * E_form: -1589 meV/atom
! * total DFT energy (no corrections): -3.57 eV/atom
! * size of the total moment: 0.00 μB/f.u.
! * calculated density: 3.5 g/cm3


! Ba4PrHoCu6O14 PBE-GGA relaxed; values from VASP
&SYSTEM
  ibrav = 0, nat = 26, ntyp = 5
/
ATOMIC_SPECIES
O 16.00 O.upf
Cu 63.55 Cu.upf
Ba 137.33 Ba.upf
Ho 164.93 Ho.upf
Pr 140.91 Pr.upf
ATOMIC_POSITIONS angstrom
O -2.631 -5.227 -2.258
O -2.624 -3.046 -0.617
O -1.875 -0.116 -1.609
O -12.714 -14.758 -2.991
O -7.639 -6.808 -2.965
O -9.460 -8.921 -3.394
O -15.224 -15.613 -4.750
O 0.208 -1.932 -1.590
O -10.286 -14.112 -4.059
O -10.280 -11.933 -2.419
O -5.542 -8.605 -2.943
O -5.058 -5.871 -1.190
O -7.376 -10.734 -3.375
O -13.125 -17.408 -4.728
Cu -14.160 -16.437 -3.332
Cu -8.797 -10.211 -2.070
Cu -6.541 -7.592 -1.539
Cu -11.500 -13.349 -2.706
Cu -3.837 -4.454 -0.903
Cu -1.177 -1.367 -0.277
Ba -4.893 -5.793 -3.958
Ba -12.549 -14.681 -5.760
Ba -2.129 -2.585 -3.308
Ba -9.785 -11.472 -5.109
Ho -7.339 -8.633 -4.534
Pr 0.330 0.269 -2.729
CELL_PARAMETERS angstrom
-1.761 2.075 -2.750
2.421 -1.536 -2.709
-15.338 -17.804 -3.609
! * SG: No. 47
! * E_form: -2166 meV/atom
! * total DFT energy (no corrections): -6.06 eV/atom
! * size of the total moment: 0.00 μB/f.u.
! * calculated density: 6.7 g/cm3